1.
# HoCo12B6

HoCo12B6 after structural relaxation (r2SCAN, the Materials Project database).

As for the calculated density: 8.42 g/cm³. For the energy, the calculation gives -12.664 eV per atom. For the energy relative to the elements, the calculation gives -0.255 eV/atom.

The structure belongs to space group R-3m (No. 166, hexagonal axes); the cell edges are 9.3348, 9.3348 and 7.3434 Å and the angles 90.00°, 90.00° and 120.00°. Symmetry generates all atoms from Ho at (0.0000, 0.0000, 0.0000), Co at (0.0000, 0.3675, 0.5000), Co at (0.0905, 0.1810, 0.3663) and B at (0.0345, 0.5173, 0.2861).

=====

2.
# HoCoB4

HoCoB4 after structural relaxation (r2SCAN, the Materials Project database).

As for the calculated density: 7.86 g/cm³. For the energy, the calculation gives -13.200 eV per atom. For the energy relative to the elements, the calculation gives -0.616 eV/atom.

The structure belongs to space group Pbam (No. 55); the cell edges are 5.8692, 11.3718 and 3.3808 Å and the angles 90.00°, 90.00° and 90.00°. Symmetry generates all atoms from Ho at (0.1270, 0.1502, 0.0000), Co at (0.1336, 0.4112, 0.0000), B at (0.0221, 0.6903, 0.5000), B at (0.1122, 0.5464, 0.5000), B at (0.1390, 0.9673, 0.5000) and B at (0.2167, 0.8158, 0.5000).

=====

3.
# HoCo2B2

HoCo2B2 after structural relaxation (r2SCAN, the Materials Project database).

As for the calculated density: 8.76 g/cm³. For the energy, the calculation gives -15.355 eV per atom. For the energy relative to the elements, the calculation gives -0.547 eV/atom.

The structure belongs to space group I4/mmm (No. 139); the cell edges are 3.5267, 3.5267 and 9.2785 Å and the angles 90.00°, 90.00° and 90.00°. Symmetry generates all atoms from Ho at (0.0000, 0.0000, 0.0000), Co at (0.0000, 0.5000, 0.2500) and B at (0.0000, 0.0000, 0.3482).

=====

4.
# LaCo2B2

LaCo2B2 after structural relaxation (r2SCAN, the Materials Project database).

As for the calculated density: 7.02 g/cm³. For the energy, the calculation gives -14.627 eV per atom. For the energy relative to the elements, the calculation gives -0.446 eV/atom.

The structure belongs to space group I4/mmm (No. 139); the cell edges are 3.5845, 3.5845 and 10.2479 Å and the angles 90.00°, 90.00° and 90.00°. Symmetry generates all atoms from La at (0.0000, 0.0000, 0.0000), Co at (0.0000, 0.5000, 0.2500) and B at (0.0000, 0.0000, 0.3312).

=====

5.
# LuCo4B

LuCo4B after structural relaxation (r2SCAN, the Materials Project database).

As for the calculated density: 9.79 g/cm³. For the energy, the calculation gives -16.658 eV per atom. For the energy relative to the elements, the calculation gives -0.264 eV/atom.

The structure belongs to space group Cmmm (No. 65); the cell edges are 5.0215, 8.4693 and 6.7229 Å and the angles 90.00°, 90.00° and 90.00°. Symmetry generates all atoms from Lu at (0.0000, 0.0000, 0.0000), Lu at (0.0000, 0.0000, 0.5000), Co at (0.0000, 0.3291, 0.0000), Co at (0.0000, 0.5000, 0.2817), Co at (0.2500, 0.2500, 0.2875) and B at (0.0000, 0.3320, 0.5000).

=====

6.
# Co2B4Mo

Co2B4Mo after structural relaxation (r2SCAN, the Materials Project database).

As for the calculated density: 7.52 g/cm³. For the energy, the calculation gives -12.054 eV per atom. For the energy relative to the elements, the calculation gives -0.350 eV/atom.

The structure belongs to space group Immm (No. 71); the cell edges are 3.0145, 3.0428 and 12.3807 Å and the angles 90.00°, 90.00° and 90.00°. Symmetry generates all atoms from Co at (0.0000, 0.0000, 0.1856), B at (0.0000, 0.0000, 0.3477), B at (0.0000, 0.5000, 0.0749) and Mo at (0.0000, 0.5000, 0.5000).

=====

7.
# Nb2Co21B6

Nb2Co21B6 after structural relaxation (r2SCAN, the Materials Project database).

As for the calculated density: 8.63 g/cm³. For the energy, the calculation gives -12.996 eV per atom. For the energy relative to the elements, the calculation gives -0.187 eV/atom.

The structure belongs to space group Fm-3m (No. 225); the cell edges are 10.4634, 10.4634 and 10.4634 Å and the angles 90.00°, 90.00° and 90.00°. Symmetry generates all atoms from Nb at (0.2500, 0.2500, 0.2500), Co at (0.0000, 0.0000, 0.0000), Co at (0.0000, 0.1712, 0.1712), Co at (0.1162, 0.1162, 0.3838) and B at (0.0000, 0.0000, 0.2745).

=====

8.
# Nb3Co4B7

Nb3Co4B7 after structural relaxation (r2SCAN, the Materials Project database).

As for the calculated density: 7.56 g/cm³. For the energy, the calculation gives -13.296 eV per atom. For the energy relative to the elements, the calculation gives -0.542 eV/atom.

The structure belongs to space group Cmcm (No. 63); the cell edges are 3.1926, 18.3271 and 8.8573 Å and the angles 90.00°, 90.00° and 90.00°. Symmetry generates all atoms from Nb at (0.0000, 0.0809, 0.0550), Nb at (0.0000, 0.1983, 0.7500), Co at (0.0000, 0.0420, 0.7500), Co at (0.0000, 0.3008, 0.0054), Co at (0.0000, 0.3436, 0.7500), B at (0.0000, 0.2101, 0.1444), B at (0.0000, 0.3901, 0.1477), B at (0.0000, 0.4550, 0.7500) and B at (0.0000, 0.4844, 0.0935).